DFT (PBE with a Hubbard U) results for a geometry-optimized LiFeBO3 structure.

```
LiFeBO3
1.0
-1.658 2.224 1.515
-9.588 -9.892 4.407
1.958 -6.839 12.602
Li Fe B O
9 9 9 27
Direct
0.508 0.883 0.900
0.486 0.563 0.885
0.561 0.884 0.553
0.506 0.216 0.884
0.450 0.554 0.563
0.503 0.251 0.547
0.494 0.900 0.217
0.489 0.546 0.203
0.501 0.203 0.252
0.064 0.805 0.753
0.008 0.442 0.806
0.011 0.113 0.774
0.941 0.753 0.443
0.975 0.464 0.430
0.023 0.106 0.465
0.986 0.774 0.114
0.987 0.429 0.107
0.010 0.113 0.113
0.996 0.663 0.991
0.001 0.667 0.667
0.987 0.346 0.664
0.016 0.991 0.346
0.531 0.014 0.668
0.467 0.668 0.319
0.998 0.333 0.334
0.007 0.000 0.000
0.504 0.318 0.015
0.010 0.915 0.980
0.970 0.573 0.979
0.077 0.763 0.904
0.564 0.913 0.679
0.504 0.408 0.914
0.007 0.593 0.774
0.072 0.773 0.633
0.025 0.104 0.916
0.055 0.978 0.448
0.057 0.333 0.764
0.922 0.635 0.593
0.919 0.904 0.334
0.946 0.257 0.651
0.960 0.448 0.574
0.515 0.024 0.759
0.447 0.679 0.409
0.474 0.566 0.332
0.514 0.103 0.566
0.986 0.980 0.105
0.480 0.758 0.218
0.009 0.326 0.433
0.984 0.241 0.327
0.001 0.432 0.242
0.944 0.651 0.092
0.070 0.091 0.257
0.496 0.330 0.104
0.511 0.217 0.025
```

Computed properties:
Symmetry: P1 (1)
Volume (Å³ per atom): 10.62
ρ (g/cm3): 3.17
Formation enthalpy at 0 K (kJ/mol of atoms): -220.15

DFT (PBE with a Hubbard U) results for a geometry-optimized Li2FeBO4 structure.

```
Li2FeBO4
1.0
-1.774 -1.678 -4.599
5.908 0.612 -2.503
3.049 -9.973 2.462
Li Fe B O
8 4 4 16
Direct
0.649 0.905 0.791
0.851 0.905 0.291
0.827 0.784 0.572
0.673 0.784 0.072
0.327 0.216 0.928
0.173 0.216 0.428
0.149 0.095 0.709
0.351 0.095 0.209
0.853 0.495 0.847
0.353 0.505 0.653
0.647 0.495 0.347
0.147 0.505 0.153
0.184 0.805 0.939
0.316 0.805 0.439
0.684 0.195 0.561
0.816 0.195 0.061
0.303 0.942 0.855
0.197 0.942 0.355
0.920 0.751 0.926
0.580 0.751 0.426
0.185 0.712 0.544
0.660 0.616 0.711
0.315 0.712 0.044
0.840 0.616 0.211
0.160 0.384 0.789
0.685 0.288 0.956
0.340 0.384 0.289
0.815 0.288 0.456
0.420 0.249 0.574
0.080 0.249 0.074
0.803 0.058 0.645
0.697 0.058 0.145
```

Computed properties:
Symmetry: P2_1/c (14)
Volume (Å³ per atom): 11.20
ρ (g/cm3): 2.68
Formation enthalpy at 0 K (kJ/mol of atoms): -223.23

- Among the records above, which one has the lowest ρ?
  Li2FeBO4

- What is the formula in the second record?
  Li2FeBO4